## Nb3B2 (PBE-GGA)

Data for an optimized crystal structure of Nb3B2.

abc: 6.2352 6.2352 3.3094
angles: 90.00 90.00 90.00
Last column: nearest neighbours and their distance in Å.
Positions (direct):
B 0.1055 0.6055 0.0000  1 B 1.86
B 0.8945 0.3945 0.0000  1 B 1.86
Nb 0.0000 0.0000 0.0000  4 B 2.55, 8 Nb 2.83
B 0.6055 0.8945 0.0000  1 B 1.86
Nb 0.1786 0.3214 0.5000  6 B 2.47-2.52
B 0.3945 0.1055 0.0000  1 B 1.86
Nb 0.8214 0.6786 0.5000  6 B 2.47-2.52
Nb 0.6786 0.1786 0.5000  6 B 2.47-2.52
Nb 0.3214 0.8214 0.5000  6 B 2.47-2.52
Nb 0.5000 0.5000 0.0000  4 B 2.55, 8 Nb 2.83

---

## NbB2 (PBE-GGA)

Data for an optimized crystal structure of NbB2.

abc: 3.1121 3.1121 3.3375
angles: 90.00 90.00 120.00
Last column: nearest neighbours and their distance in Å.
Positions (direct):
Nb 0.0000 0.0000 0.0000  12 B 2.45
B 0.3333 0.6667 0.5000  3 B 1.80
B 0.6667 0.3333 0.5000  3 B 1.80

---

## Nb2B3 (PBE-GGA)

Data for an optimized crystal structure of Nb2B3.

abc: 9.9379 9.9379 3.1420
angles: 90.00 90.00 160.72
Last column: nearest neighbours and their distance in Å.
Positions (direct):
B 0.1652 0.8348 0.7500  2 B 1.85
Nb 0.7026 0.2974 0.2500  7 B 2.38-2.59
B 0.8348 0.1652 0.2500  2 B 1.85
B 0.0230 0.9770 0.2500  3 B 1.81-1.82
Nb 0.2974 0.7026 0.7500  7 B 2.38-2.59
B 0.1157 0.8843 0.2500  3 B 1.82-1.85
Nb 0.4312 0.5688 0.2500  12 B 2.45-2.52
Nb 0.5688 0.4312 0.7500  12 B 2.45-2.52
B 0.8843 0.1157 0.7500  3 B 1.82-1.85
B 0.9770 0.0230 0.7500  3 B 1.81-1.82

---

## NbNiB2 (PBE-GGA)

Data for an optimized crystal structure of NbNiB2.

abc: 3.1289 6.0493 8.2103
angles: 90.00 90.00 90.00
Last column: nearest neighbours and their distance in Å.
Positions (direct):
Ni 0.2500 0.4990 0.8849  5 B 2.03-2.16
Ni 0.2500 0.9990 0.6151  5 B 2.03-2.16
B 0.2500 0.2412 0.4231  2 B 1.81
B 0.7500 0.2588 0.9231  2 B 1.81
B 0.7500 0.7588 0.5769  2 B 1.81
Nb 0.7500 0.8678 0.8673  9 B 2.41-2.56
B 0.2500 0.6709 0.6670  2 B 1.81
Ni 0.7500 0.5010 0.1151  5 B 2.03-2.16
B 0.7500 0.8291 0.1670  2 B 1.81
B 0.7500 0.3291 0.3330  2 B 1.81
Nb 0.7500 0.3678 0.6327  9 B 2.41-2.56
B 0.2500 0.7412 0.0769  2 B 1.81
B 0.2500 0.1709 0.8330  2 B 1.81
Nb 0.2500 0.1322 0.1327  9 B 2.41-2.56
Nb 0.2500 0.6322 0.3673  9 B 2.41-2.56
Ni 0.7500 0.0010 0.3849  5 B 2.03-2.16

---

## NbBOs (PBE-GGA)

Data for an optimized crystal structure of NbBOs.

abc: 3.1164 9.1097 15.8469
angles: 90.00 90.00 90.00
Last column: nearest neighbours and their distance in Å.
Positions (direct):
Nb 0.0000 0.6868 0.2026  2 B 2.44
Nb 0.0000 0.0165 0.9066  6 B 2.34-2.40
Os 0.5000 0.4848 0.9058  3 B 2.26-2.45
Os 0.5000 0.2186 0.1445  3 B 2.23-2.46
Nb 0.0000 0.1868 0.2974  2 B 2.44
Nb 0.0000 0.4835 0.4066  6 B 2.34-2.40
B 0.0000 0.3892 0.1676  6 Os 2.23-2.26
Nb 0.0000 0.8009 0.4958  4 B 2.35-2.38
Os 0.5000 0.9848 0.5942  3 B 2.26-2.45
B 0.5000 0.3929 0.5032  2 B 1.89-1.95
B 0.0000 0.6108 0.8324  6 Os 2.23-2.26
Nb 0.0000 0.1991 0.5042  4 B 2.35-2.38
B 0.5000 0.1071 0.0032  2 B 1.89-1.95
Nb 0.0000 0.8132 0.7026  2 B 2.44
B 0.0000 0.1108 0.6676  6 Os 2.23-2.26
Os 0.5000 0.0616 0.7652  2 B 2.24
Os 0.5000 0.7814 0.8555  3 B 2.23-2.46
Os 0.5000 0.7186 0.3555  3 B 2.23-2.46
Nb 0.0000 0.9835 0.0934  6 B 2.34-2.40
Nb 0.0000 0.3009 0.0042  4 B 2.35-2.38
B 0.5000 0.2156 0.9018  1 B 1.89
Nb 0.0000 0.3132 0.7974  2 B 2.44
Os 0.5000 0.5152 0.0942  3 B 2.26-2.45
Os 0.5000 0.2814 0.6445  3 B 2.23-2.46
Nb 0.0000 0.5165 0.5934  6 B 2.34-2.40
B 0.0000 0.8892 0.3324  6 Os 2.23-2.26
B 0.5000 0.2844 0.4018  1 B 1.89
B 0.5000 0.7844 0.0982  1 B 1.89
B 0.5000 0.8929 0.9968  2 B 1.89-1.95
B 0.5000 0.7156 0.5982  1 B 1.89
B 0.5000 0.6071 0.4968  2 B 1.89-1.95
Os 0.5000 0.4384 0.2652  2 B 2.24
Os 0.5000 0.9384 0.2348  2 B 2.24
Os 0.5000 0.5616 0.7348  2 B 2.24
Nb 0.0000 0.6991 0.9958  4 B 2.35-2.38
Os 0.5000 0.0152 0.4058  3 B 2.26-2.45

---

## Nb2B2Os (PBE-GGA)

Data for an optimized crystal structure of Nb2B2Os.

abc: 5.9295 5.9295 6.8976
angles: 90.00 90.00 90.00
Last column: nearest neighbours and their distance in Å.
Positions (direct):
Nb 0.8144 0.3357 0.5000  6 B 2.42-2.49
Nb 0.8357 0.3144 0.0000  6 B 2.42-2.49
B 0.3869 0.8869 0.7500  1 B 1.90
B 0.1131 0.3869 0.2500  1 B 1.90
B 0.8869 0.6131 0.2500  1 B 1.90
Os 0.0000 0.0000 0.7210  4 B 2.40
B 0.3869 0.8869 0.2500  1 B 1.90
Os 0.5000 0.5000 0.7790  4 B 2.40
B 0.6131 0.1131 0.2500  1 B 1.90
Nb 0.1643 0.6856 0.0000  6 B 2.42-2.49
B 0.1131 0.3869 0.7500  1 B 1.90
Nb 0.3144 0.1643 0.0000  6 B 2.42-2.49
Nb 0.6856 0.8357 0.0000  6 B 2.42-2.49
Nb 0.1856 0.6643 0.5000  6 B 2.42-2.49
B 0.8869 0.6131 0.7500  1 B 1.90
B 0.6131 0.1131 0.7500  1 B 1.90
Os 0.5000 0.5000 0.2210  4 B 2.40
Os 0.0000 0.0000 0.2790  4 B 2.40
Nb 0.3357 0.1856 0.5000  6 B 2.42-2.49
Nb 0.6643 0.8144 0.5000  6 B 2.42-2.49

---

| no. | theoretical density (g cm⁻³) | VASP energy (eV per atom) | formation energy (meV/atom) |
| --- | --- | --- | --- |
| 1 | 7.8 | -9.364 | -632 |
| 2 | 6.8 | -8.514 | -694 |
| 3 | 7.1 | -8.795 | -747 |
| 4 | 7.4 | -7.926 | -616 |
| 5 | 13.0 | -9.848 | -512 |
| 6 | 10.9 | -9.543 | -586 |